one | Below is a geometry-optimized MgMn6O10F2 structure, with properties calculated at the PBE+U level.

POSCAR file:
```
MgMn6O10F2
1.0
5.124 0.000 0.000
0.813 5.519 0.000
0.646 0.501 7.456
Mg Mn O F
1 6 10 2
Direct
0.000 0.000 0.000 Mg
0.444 0.532 0.510 Mn
0.483 0.213 0.851 Mn
0.500 0.890 0.198 Mn
0.875 0.590 0.786 Mn
0.977 0.389 0.202 Mn
0.988 0.060 0.511 Mn
0.149 0.345 0.416 O
0.266 0.506 0.749 O
0.283 0.168 0.084 O
0.294 0.859 0.424 O
0.666 0.580 0.289 O
0.671 0.887 0.949 O
0.709 0.300 0.636 O
0.802 0.806 0.594 O
0.817 0.358 0.978 O
0.835 0.099 0.285 O
0.145 0.675 0.102 F
0.161 0.026 0.749 F
```

- total moment (μB per cell) = 22.00
- crystal system = triclinic

=====

two | Below is a geometry-optimized MgMn6O10F2 structure, with properties calculated at the PBE+U level.

POSCAR file:
```
MgMn6O10F2
1.0
5.131 0.000 0.000
0.900 5.671 0.000
0.811 1.025 7.473
Mg Mn O F
1 6 10 2
Direct
0.000 0.000 0.000 Mg
0.103 0.385 0.218 Mn
0.505 0.160 0.838 Mn
0.526 0.478 0.519 Mn
0.548 0.803 0.188 Mn
0.948 0.956 0.511 Mn
0.959 0.594 0.823 Mn
0.163 0.307 0.939 O
0.170 0.662 0.603 O
0.392 0.193 0.612 O
0.403 0.524 0.284 O
0.628 0.106 0.079 O
0.651 0.440 0.757 O
0.675 0.777 0.413 O
0.840 0.948 0.767 O
0.851 0.286 0.432 O
0.874 0.662 0.077 O
0.158 0.984 0.254 F
0.361 0.839 0.944 F
```

- total moment (μB per cell) = 22.00
- crystal system = triclinic

=====

three | Below is a geometry-optimized MgMn6O10F2 structure, with properties calculated at the PBE+U level.

POSCAR file:
```
MgMn6O10F2
1.0
5.699 0.000 0.000
-2.037 5.530 0.000
-1.160 -3.070 6.917
Mg Mn O F
1 6 10 2
Direct
0.000 0.000 0.000 Mg
0.024 0.474 0.988 Mn
0.320 0.565 0.375 Mn
0.392 0.045 0.831 Mn
0.629 0.016 0.176 Mn
0.654 0.437 0.610 Mn
0.999 0.014 0.515 Mn
0.116 0.173 0.813 O
0.246 0.864 0.559 O
0.289 0.333 0.510 O
0.358 0.705 0.173 O
0.406 0.159 0.104 O
0.598 0.877 0.903 O
0.664 0.329 0.829 O
0.690 0.690 0.498 O
0.758 0.165 0.451 O
0.969 0.322 0.177 O
0.043 0.691 0.824 F
0.898 0.844 0.189 F
```

- total moment (μB per cell) = 22.00
- crystal system = triclinic

=====

According to the calculations, the structures order from most to least stable as one, two, three.

=====

one | Below is a geometry-optimized Li2TiVO4 structure, with properties calculated at the PBE+U level.

POSCAR file:
```
Li2TiVO4
1.0
5.229 0.000 0.000
-0.017 5.988 0.000
-2.576 -1.506 7.321
Li Ti V O
6 3 3 12
Direct
0.001 0.415 0.167 Li
0.002 0.926 0.167 Li
0.003 0.247 0.498 Li
0.997 0.753 0.502 Li
0.998 0.074 0.833 Li
0.999 0.585 0.833 Li
0.497 0.316 0.835 Ti
0.500 0.500 0.500 Ti
0.503 0.684 0.165 Ti
0.499 0.178 0.165 V
0.500 0.000 0.500 V
0.501 0.822 0.835 V
0.261 0.869 0.011 O
0.264 0.051 0.678 O
0.265 0.225 0.342 O
0.272 0.392 0.996 O
0.274 0.524 0.664 O
0.274 0.696 0.333 O
0.726 0.304 0.667 O
0.726 0.476 0.336 O
0.728 0.608 0.004 O
0.735 0.775 0.658 O
0.736 0.949 0.322 O
0.739 0.131 0.989 O
```

- total moment (μB per cell) = 9.00
- crystal system = triclinic

=====

two | Below is a geometry-optimized Li2TiVO4 structure, with properties calculated at the PBE+U level.

POSCAR file:
```
Li2TiVO4
1.0
5.192 0.000 0.000
0.256 7.809 0.000
1.898 2.290 7.226
Li Ti V O
8 4 4 16
Direct
0.000 0.000 0.000 Li
0.063 0.124 0.312 Li
0.246 0.495 0.252 Li
0.312 0.624 0.563 Li
0.495 0.997 0.502 Li
0.561 0.124 0.816 Li
0.744 0.497 0.750 Li
0.809 0.621 0.065 Li
0.129 0.254 0.627 Ti
0.372 0.745 0.880 Ti
0.624 0.248 0.127 Ti
0.869 0.746 0.373 Ti
0.181 0.376 0.937 V
0.435 0.872 0.190 V
0.685 0.369 0.439 V
0.935 0.874 0.687 V
0.078 0.640 0.814 O
0.124 0.748 0.127 O
0.158 0.863 0.441 O
0.241 0.997 0.751 O
0.336 0.134 0.069 O
0.375 0.249 0.378 O
0.418 0.365 0.686 O
0.494 0.497 0.002 O
0.581 0.630 0.320 O
0.627 0.750 0.627 O
0.670 0.864 0.928 O
0.745 0.997 0.250 O
0.838 0.125 0.573 O
0.875 0.250 0.876 O
0.915 0.365 0.185 O
0.997 0.495 0.501 O
```

- total moment (μB per cell) = 0.50
- crystal system = triclinic

=====

According to the calculations, the structures order from most to least stable as one, two.

=====

one | Below is a geometry-optimized Li2TiVO4 structure, with properties calculated at the PBE+U level.

POSCAR file:
```
Li2TiVO4
1.0
2.073 4.741 0.000
0.000 0.000 5.842
5.171 -0.211 0.000
Li O V Ti
4 8 2 2
Direct
0.000 0.750 0.500 Li
0.000 0.500 0.000 Li
0.500 0.250 0.000 Li
0.500 0.000 0.500 Li
0.733 0.750 0.234 O
0.748 0.500 0.748 O
0.751 0.000 0.751 O
0.249 0.000 0.249 O
0.267 0.750 0.766 O
0.766 0.250 0.267 O
0.234 0.250 0.733 O
0.252 0.500 0.252 O
0.500 0.500 0.500 V
0.000 0.000 0.000 V
0.000 0.250 0.500 Ti
0.500 0.750 0.000 Ti
```

- total moment (μB per cell) = 0.04

=====

two | Below is a geometry-optimized Li2TiVO4 structure, with properties calculated at the PBE+U level.

POSCAR file:
```
Li2TiVO4
1.0
5.173 -5.933 0.000
5.173 5.933 0.000
-1.717 0.000 4.944
Li Ti V O
8 4 4 16
Direct
0.000 0.000 0.000 Li
0.125 0.375 0.998 Li
0.249 0.751 0.000 Li
0.375 0.125 0.998 Li
0.500 0.500 0.000 Li
0.625 0.875 0.002 Li
0.751 0.249 0.000 Li
0.875 0.625 0.002 Li
0.000 0.500 0.500 Ti
0.257 0.257 0.497 Ti
0.500 0.000 0.500 Ti
0.743 0.743 0.503 Ti
0.120 0.880 0.500 V
0.372 0.628 0.500 V
0.628 0.372 0.500 V
0.880 0.120 0.500 V
0.010 0.258 0.270 O
0.116 0.625 0.270 O
0.131 0.131 0.733 O
0.242 0.493 0.735 O
0.258 0.010 0.270 O
0.370 0.370 0.266 O
0.375 0.884 0.730 O
0.493 0.242 0.735 O
0.507 0.758 0.265 O
0.625 0.116 0.270 O
0.630 0.630 0.734 O
0.742 0.990 0.730 O
0.758 0.507 0.265 O
0.869 0.869 0.267 O
0.884 0.375 0.730 O
0.990 0.742 0.730 O
```

- total moment (μB per cell) = 1.96
- crystal system = monoclinic

=====

According to the calculations, the structures order from most to least stable as two, one.

=====

one | Below is a geometry-optimized Li3Fe8B8O24 structure, with properties calculated at the PBE+U level.

POSCAR file:
```
Li3Fe8B8O24
1.0
5.233 0.000 0.000
0.093 9.167 0.000
2.606 4.404 10.110
Li Fe B O
3 8 8 24
Direct
0.000 0.000 0.000 Li
0.195 0.229 0.259 Li
0.509 0.504 0.994 Li
0.021 0.348 0.968 Fe
0.227 0.573 0.227 Fe
0.242 0.938 0.484 Fe
0.464 0.155 0.715 Fe
0.510 0.855 0.972 Fe
0.715 0.062 0.231 Fe
0.748 0.440 0.469 Fe
0.966 0.651 0.719 Fe
0.008 0.691 0.971 B
0.230 0.914 0.210 B
0.248 0.605 0.478 B
0.454 0.811 0.732 B
0.515 0.185 0.976 B
0.717 0.390 0.223 B
0.758 0.117 0.465 B
0.958 0.317 0.722 B
0.021 0.124 0.448 O
0.023 0.430 0.766 O
0.104 0.709 0.525 O
0.110 0.194 0.728 O
0.116 0.518 0.429 O
0.219 0.824 0.694 O
0.255 0.674 0.004 O
0.341 0.008 0.259 O
0.375 0.809 0.165 O
0.387 0.312 0.981 O
0.414 0.080 0.929 O
0.467 0.408 0.202 O
0.506 0.588 0.477 O
0.525 0.929 0.775 O
0.602 0.213 0.520 O
0.611 0.693 0.735 O
0.627 0.020 0.423 O
0.726 0.329 0.677 O
0.747 0.151 0.019 O
0.834 0.478 0.275 O
0.869 0.278 0.186 O
0.870 0.818 0.975 O
0.906 0.578 0.936 O
0.976 0.930 0.197 O
```

- total moment (μB per cell) = 37.00
- crystal system = triclinic

=====

two | Below is a geometry-optimized Li3Fe8B8O24 structure, with properties calculated at the PBE+U level.

POSCAR file:
```
Li3Fe8B8O24
1.0
5.306 0.000 0.000
0.074 9.060 0.000
2.560 4.393 10.145
Li Fe B O
3 8 8 24
Direct
0.000 0.000 0.000 Li
0.178 0.852 0.274 Li
0.506 0.495 0.997 Li
0.186 0.509 0.276 Fe
0.241 0.894 0.525 Fe
0.422 0.427 0.776 Fe
0.489 0.816 0.029 Fe
0.679 0.022 0.275 Fe
0.735 0.392 0.522 Fe
0.925 0.928 0.777 Fe
0.982 0.318 0.028 Fe
0.180 0.180 0.277 B
0.232 0.558 0.519 B
0.430 0.764 0.780 B
0.481 0.142 0.027 B
0.696 0.680 0.276 B
0.726 0.054 0.529 B
0.929 0.267 0.778 B
0.983 0.645 0.027 B
0.004 0.116 0.802 O
0.054 0.369 0.815 O
0.115 0.454 0.479 O
0.153 0.707 0.499 O
0.211 0.621 0.075 O
0.221 0.817 0.723 O
0.280 0.028 0.326 O
0.302 0.313 0.276 O
0.328 0.007 0.047 O
0.394 0.296 0.976 O
0.442 0.506 0.577 O
0.453 0.684 0.243 O
0.502 0.613 0.803 O
0.555 0.864 0.820 O
0.610 0.952 0.489 O
0.637 0.196 0.523 O
0.719 0.125 0.059 O
0.721 0.321 0.720 O
0.801 0.529 0.322 O
0.828 0.815 0.261 O
0.843 0.523 0.024 O
0.903 0.802 0.979 O
0.947 0.004 0.580 O
0.966 0.188 0.228 O
```

- total moment (μB per cell) = 37.00
- crystal system = triclinic

=====

According to the calculations, the structures order from most to least stable as two, one.